No. 1
The following is a meta-GGA r2SCAN calculation of a geometry-optimized VOF3 structure, from the Materials Project.

Summary:
Size of the total moment   0.000 μB/atom
ΔE_f   -2.7845 eV/atom

Unit cell a=5.0664 b=5.5744 c=9.3151 alpha=91.02 beta=90.00 gamma=90.00
Sites, in units of the cell vectors:
V 0.5872 0.6715 0.8761
V 0.9128 0.6715 0.3761
V 0.0872 0.3285 0.6239
V 0.4128 0.3285 0.1239
O 0.1656 0.1994 0.0561
O 0.6656 0.8006 0.4439
O 0.3344 0.1994 0.5561
O 0.8344 0.8006 0.9439
F 0.3980 0.9052 0.8118
F 0.6020 0.0948 0.1882
F 0.2175 0.4544 0.7870
F 0.2825 0.4544 0.2870
F 0.3640 0.6516 0.0435
F 0.7825 0.5456 0.2130
F 0.8640 0.3484 0.4565
F 0.1360 0.6516 0.5435
F 0.8980 0.0948 0.6882
F 0.7175 0.5456 0.7130
F 0.6360 0.3484 0.9565
F 0.1020 0.9052 0.3118

---

No. 2
The following is a meta-GGA r2SCAN calculation of a geometry-optimized VOF2 structure, from the Materials Project.

Summary:
Size of the total moment   0.250 μB/atom
ΔE_f   -2.9446 eV/atom

Unit cell a=5.0742 b=5.0742 c=13.1709 alpha=89.43 beta=89.43 gamma=59.72
Sites, in units of the cell vectors:
V 0.0040 0.0212 0.4925
V 0.0212 0.0040 0.9925
V 0.6474 0.7115 0.8279
V 0.3040 0.3681 0.6582
V 0.7115 0.6474 0.3279
V 0.3681 0.3040 0.1582
O 0.3240 0.9256 0.9193
O 0.9945 0.5872 0.2531
O 0.0865 0.6536 0.5821
O 0.5872 0.9945 0.7531
O 0.9256 0.3240 0.4193
O 0.6536 0.0865 0.0821
F 0.9935 0.3928 0.7505
F 0.3856 0.5987 0.7558
F 0.3373 0.7263 0.4145
F 0.0494 0.2892 0.0829
F 0.2892 0.0494 0.5829
F 0.5987 0.3856 0.2558
F 0.7263 0.3373 0.9145
F 0.3928 0.9935 0.2505
F 0.2552 0.6886 0.0931
F 0.7219 0.9339 0.4202
F 0.9339 0.7219 0.9202
F 0.6886 0.2552 0.5931

---

No. 3
The following is a meta-GGA r2SCAN calculation of a geometry-optimized V3O4F2 structure, from the Materials Project.

Summary:
Size of the total moment   0.556 μB/atom
ΔE_f   -2.8515 eV/atom
E above lowest polymorph   0.09 eV/f.u.

Unit cell a=4.6106 b=8.8769 c=4.6151 alpha=91.31 beta=90.00 gamma=89.99
Sites, in units of the cell vectors:
V 0.9996 0.0001 0.0006
V 0.5003 0.4999 0.4995
V 0.5124 0.8463 0.4589
V 0.9877 0.3464 0.9583
V 0.0128 0.6538 0.0410
V 0.4873 0.1536 0.5416
O 0.8003 0.4992 0.2076
O 0.2995 0.0007 0.2927
O 0.6999 0.9991 0.7082
O 0.2003 0.5008 0.7916
O 0.8123 0.8301 0.1936
O 0.3127 0.6699 0.3064
O 0.6876 0.3301 0.6932
O 0.1875 0.1698 0.8070
F 0.7900 0.1714 0.2019
F 0.2906 0.3286 0.2979
F 0.7096 0.6714 0.7017
F 0.2094 0.8287 0.7983

---

No. 4
The following is a meta-GGA r2SCAN calculation of a geometry-optimized V6O5F19 structure, from the Materials Project.

Summary:
Size of the total moment   0.033 μB/atom
ΔE_f   -2.8030 eV/atom
E above lowest polymorph   0.28 eV/f.u.

Unit cell a=5.2880 b=5.4281 c=13.5788 alpha=100.59 beta=89.45 gamma=92.00
Sites, in units of the cell vectors:
V 0.9295 0.9889 0.0060
V 0.5598 0.7820 0.6719
V 0.9607 0.7250 0.3348
V 0.4228 0.5266 0.9951
V 0.0511 0.2708 0.6630
V 0.4824 0.1922 0.3313
O 0.7789 0.9628 0.3502
O 0.6928 0.8028 0.0244
O 0.7884 0.6151 0.6924
O 0.1929 0.7051 0.9798
O 0.2258 0.0336 0.6423
F 0.2669 0.8893 0.3051
F 0.9377 0.9435 0.8754
F 0.5888 0.7880 0.5439
F 0.9346 0.6005 0.2074
F 0.4272 0.8806 0.7905
F 0.0793 0.7278 0.4546
F 0.4337 0.5462 0.1247
F 0.7086 0.4841 0.3586
F 0.7848 0.2828 0.0218
F 0.3044 0.5246 0.6415
F 0.2150 0.3798 0.3138
F 0.5809 0.4656 0.8797
F 0.9333 0.2850 0.5441
F 0.5856 0.1312 0.2073
F 0.0921 0.3865 0.7909
F 0.4390 0.2064 0.4594
F 0.0844 0.0487 0.1217
F 0.7436 0.1054 0.6932
F 0.2752 0.2192 0.9753

---

No. 5
The following is a meta-GGA r2SCAN calculation of a geometry-optimized VOF2 structure, from the Materials Project.

Summary:
Size of the total moment   0.125 μB/atom
ΔE_f   -2.9307 eV/atom

Unit cell a=5.0725 b=5.2729 c=7.2920 alpha=93.94 beta=90.00 gamma=90.00
Sites, in units of the cell vectors:
V 0.4796 0.5004 0.5362
V 0.5208 0.5003 0.0363
V 0.0206 0.9995 0.9637
V 0.9796 0.9998 0.4638
O 0.5907 0.5007 0.2547
O 0.0904 0.9993 0.7454
O 0.9093 0.0005 0.2455
O 0.4093 0.4997 0.7545
F 0.6926 0.1881 0.9497
F 0.1777 0.6827 0.4503
F 0.6777 0.8175 0.5497
F 0.1927 0.3118 0.0503
F 0.8200 0.6845 0.9500
F 0.3096 0.1859 0.4499
F 0.8096 0.3142 0.5501
F 0.3199 0.8152 0.0500

---

No. 6
The following is a meta-GGA r2SCAN calculation of a geometry-optimized VOF2 structure, from the Materials Project.

Summary:
Size of the total moment   0.250 μB/atom
ΔE_f   -2.9429 eV/atom

Unit cell a=5.0605 b=5.0915 c=9.1384 alpha=75.22 beta=74.49 gamma=60.81
Sites, in units of the cell vectors:
V 0.9973 0.0035 0.0018
V 0.2090 0.2682 0.2490
V 0.5257 0.5201 0.5011
V 0.7751 0.7471 0.7560
O 0.0517 0.2093 0.1279
O 0.5355 0.6909 0.6292
O 0.9497 0.7936 0.8721
O 0.8680 0.4663 0.3773
F 0.2726 0.8757 0.3799
F 0.3674 0.9821 0.8693
F 0.2319 0.6265 0.1238
F 0.1326 0.5131 0.6199
F 0.4569 0.2929 0.3718
F 0.7708 0.3736 0.8770
F 0.6308 0.0244 0.1337
F 0.7250 0.1128 0.6105

---

No. 7
The following is a meta-GGA r2SCAN calculation of a geometry-optimized V6O5F19 structure, from the Materials Project.

Summary:
Size of the total moment   0.033 μB/atom
ΔE_f   -2.8121 eV/atom
E above lowest polymorph   0.00 eV/f.u.

Unit cell a=5.1648 b=5.3842 c=13.8531 alpha=100.01 beta=89.98 gamma=90.30
Sites, in units of the cell vectors:
V 0.0103 0.9852 0.0001
V 0.5174 0.1085 0.3309
V 0.9802 0.2767 0.6642
V 0.5278 0.4562 0.9966
V 0.9804 0.6096 0.3311
V 0.5173 0.7757 0.6642
O 0.7974 0.0267 0.6408
O 0.7090 0.2068 0.9754
O 0.7973 0.3597 0.3078
O 0.6988 0.5269 0.6410
O 0.6988 0.8597 0.3076
F 0.2820 0.1478 0.6938
F 0.9080 0.0553 0.1216
F 0.5883 0.2301 0.4534
F 0.9071 0.3970 0.7864
F 0.4116 0.1501 0.2150
F 0.0827 0.3182 0.5477
F 0.4085 0.4751 0.8803
F 0.7996 0.6892 0.9732
F 0.2205 0.2995 0.0272
F 0.2819 0.4808 0.3611
F 0.2140 0.6458 0.6942
F 0.5827 0.5660 0.1211
F 0.9072 0.7309 0.4533
F 0.5877 0.8976 0.7867
F 0.0828 0.6497 0.2145
F 0.4118 0.8162 0.5481
F 0.0814 0.9759 0.8768
F 0.2935 0.8039 0.0250
F 0.2139 0.9789 0.3610

---

No. 8
The following is a meta-GGA r2SCAN calculation of a geometry-optimized V2O3F3 structure, from the Materials Project.

Summary:
Size of the total moment   0.125 μB/atom
ΔE_f   -2.7681 eV/atom
E above lowest polymorph   0.04 eV/f.u.

Unit cell a=5.1171 b=5.1225 c=12.9706 alpha=91.05 beta=89.75 gamma=119.63
Sites, in units of the cell vectors:
V 0.0442 0.9917 0.4994
V 0.9661 0.9610 0.9898
V 0.6556 0.2924 0.1603
V 0.3687 0.6914 0.3189
V 0.6938 0.3367 0.6595
V 0.2992 0.6783 0.8316
O 0.4220 0.9943 0.2510
O 0.3263 0.0980 0.5832
O 0.0025 0.5848 0.7542
O 0.7582 0.0955 0.0840
O 0.0871 0.7644 0.4189
O 0.5679 0.5753 0.2528
O 0.8977 0.2535 0.5836
O 0.2509 0.8966 0.9216
O 0.6744 0.7491 0.9172
F 0.9927 0.4126 0.2568
F 0.0869 0.3266 0.9144
F 0.3304 0.2576 0.0827
F 0.2351 0.3355 0.4197
F 0.5884 0.0027 0.7526
F 0.4250 0.4284 0.7512
F 0.7447 0.6853 0.5846
F 0.9246 0.6751 0.0909
F 0.6575 0.9133 0.4212

---

No. 9
The following is a meta-GGA r2SCAN calculation of a geometry-optimized V2O3F structure, from the Materials Project.

Summary:
Size of the total moment   0.500 μB/atom
ΔE_f   -2.7920 eV/atom
E above lowest polymorph   0.01 eV/f.u.

Unit cell a=5.4563 b=5.4563 c=8.6462 alpha=86.97 beta=86.97 gamma=75.23
Sites, in units of the cell vectors:
V 0.6331 0.6224 0.8757
V 0.8947 0.8597 0.6258
V 0.2269 0.2806 0.7470
V 0.4796 0.5204 0.5000
V 0.7194 0.7731 0.2530
V 0.1403 0.1053 0.3742
V 0.3776 0.3669 0.1243
V 0.0406 0.9594 0.0000
O 0.9475 0.5596 0.7500
O 0.9678 0.9748 0.2260
O 0.2252 0.2238 0.9717
O 0.7245 0.7328 0.4753
O 0.4762 0.4732 0.7280
O 0.0252 0.0322 0.7740
O 0.7762 0.7748 0.0283
O 0.2672 0.2755 0.5247
O 0.5268 0.5238 0.2720
O 0.1986 0.8014 0.5000
O 0.4404 0.0525 0.2500
O 0.3080 0.6920 0.0000
F 0.7980 0.2020 0.5000
F 0.5488 0.9515 0.7494
F 0.7088 0.2912 0.0000
F 0.0485 0.4512 0.2506

---

No. 10
The following is a meta-GGA r2SCAN calculation of a geometry-optimized V2OF5 structure, from the Materials Project.

Summary:
Size of the total moment   0.375 μB/atom
ΔE_f   -3.1127 eV/atom
E above lowest polymorph   0.02 eV/f.u.

Unit cell a=5.0892 b=5.0892 c=13.2449 alpha=89.69 beta=90.02 gamma=60.52
Sites, in units of the cell vectors:
V 0.0199 0.0029 0.4976
V 0.9912 0.9737 0.0061
V 0.6744 0.6624 0.1643
V 0.3381 0.3101 0.3392
V 0.6909 0.6698 0.6734
V 0.3144 0.3423 0.8311
O 0.9138 0.7549 0.0812
O 0.9785 0.5901 0.7526
O 0.2610 0.0931 0.4167
F 0.4013 0.5901 0.2516
F 0.6150 0.9911 0.2513
F 0.7294 0.9446 0.5830
F 0.2811 0.6591 0.9176
F 0.0670 0.6772 0.4152
F 0.3796 0.0064 0.7479
F 0.5834 0.3998 0.7457
F 0.3284 0.9391 0.0862
F 0.6783 0.2748 0.4157
F 0.0045 0.3902 0.2470
F 0.3391 0.7346 0.5843
F 0.6788 0.0566 0.9085
F 0.9387 0.3395 0.5819
F 0.0754 0.2571 0.9221
F 0.7177 0.3406 0.0797

---

No. 11
The following is a meta-GGA r2SCAN calculation of a geometry-optimized V2O3F structure, from the Materials Project.

Summary:
Size of the total moment   0.500 μB/atom
ΔE_f   -2.7868 eV/atom
E above lowest polymorph   0.05 eV/f.u.

Unit cell a=4.6268 b=4.6268 c=5.9369 alpha=90.00 beta=90.00 gamma=94.82
Sites, in units of the cell vectors:
V 0.0000 0.0000 0.0000
V 0.0000 0.0000 0.5000
V 0.5492 0.4508 0.2500
V 0.4508 0.5492 0.7500
O 0.1934 0.8066 0.7500
O 0.3046 0.3046 0.0000
O 0.3046 0.3046 0.5000
O 0.6954 0.6954 0.0000
O 0.6954 0.6954 0.5000
O 0.8066 0.1934 0.2500
F 0.1968 0.8032 0.2500
F 0.8032 0.1968 0.7500

---

No. 12
The following is a meta-GGA r2SCAN calculation of a geometry-optimized VOF2 structure, from the Materials Project.

Summary:
Size of the total moment   0.250 μB/atom
ΔE_f   -2.9359 eV/atom

Unit cell a=5.1498 b=5.2613 c=12.4998 alpha=92.04 beta=90.56 gamma=119.10
Sites, in units of the cell vectors:
V 0.3178 0.6425 0.6636
V 0.3332 0.6967 0.1711
V 0.6717 0.2963 0.8367
V 0.6855 0.3601 0.3372
V 0.0016 0.0010 0.5000
V 0.0083 0.0331 0.0050
O 0.2291 0.3099 0.0859
O 0.1046 0.3458 0.5857
O 0.8050 0.1886 0.9439
O 0.5811 0.0190 0.7504
O 0.8999 0.6583 0.4142
O 0.4186 0.9937 0.2453
F 0.7239 0.8300 0.1130
F 0.4315 0.5063 0.2832
F 0.6087 0.8229 0.5519
F 0.8773 0.1382 0.3806
F 0.0714 0.5342 0.7880
F 0.2061 0.8005 0.0426
F 0.9200 0.4755 0.2101
F 0.1245 0.8632 0.6181
F 0.7520 0.6622 0.9170
F 0.3957 0.1761 0.4482
F 0.5613 0.4995 0.7243
F 0.2711 0.1465 0.8838

---

No. 13
The following is a meta-GGA r2SCAN calculation of a geometry-optimized V4O7F5 structure, from the Materials Project.

Summary:
Size of the total moment   0.062 μB/atom
ΔE_f   -2.6720 eV/atom
E above lowest polymorph   0.14 eV/f.u.

Unit cell a=5.1282 b=5.2884 c=8.8721 alpha=73.44 beta=90.11 gamma=60.19
Sites, in units of the cell vectors:
V 0.7319 0.5232 0.2658
V 0.4570 0.0404 0.5120
V 0.2440 0.5471 0.7539
V 0.0421 0.0034 0.0154
O 0.9649 0.2324 0.1204
O 0.5515 0.7471 0.3694
O 0.4135 0.7385 0.0818
O 0.4057 0.7453 0.6613
O 0.4599 0.2318 0.6278
O 0.0440 0.7450 0.8664
O 0.0945 0.2541 0.4120
F 0.9207 0.7285 0.5821
F 0.9169 0.7482 0.1551
F 0.6015 0.2288 0.3362
F 0.5768 0.2389 0.9130
F 0.0753 0.2473 0.8273

---

No. 14
The following is a meta-GGA r2SCAN calculation of a geometry-optimized V2O3F structure, from the Materials Project.

Summary:
Size of the total moment   0.500 μB/atom
ΔE_f   -2.7887 eV/atom
E above lowest polymorph   0.03 eV/f.u.

Unit cell a=5.4670 b=5.4670 c=6.9418 alpha=73.38 beta=73.38 gamma=75.17
Sites, in units of the cell vectors:
V 0.6728 0.6626 0.8349
V 0.3008 0.3711 0.6658
V 0.6289 0.6992 0.3342
V 0.3374 0.3272 0.1651
V 0.0068 0.9932 0.5000
V 0.0438 0.9562 0.0000
O 0.2353 0.2283 0.9633
O 0.5716 0.5627 0.6312
O 0.8932 0.9036 0.2976
O 0.0964 0.1068 0.7024
O 0.7717 0.7647 0.0367
O 0.4373 0.4284 0.3688
O 0.0320 0.6432 0.6656
O 0.3568 0.9680 0.3344
O 0.3120 0.6880 0.0000
F 0.6289 0.0341 0.6676
F 0.9659 0.3711 0.3324
F 0.7083 0.2917 0.0000

---

No. 15
The following is a meta-GGA r2SCAN calculation of a geometry-optimized V2O3F structure, from the Materials Project.

Summary:
Size of the total moment   0.500 μB/atom
ΔE_f   -2.7945 eV/atom
E above lowest polymorph   0.00 eV/f.u.

Unit cell a=5.4417 b=5.4417 c=8.7551 alpha=86.18 beta=86.18 gamma=72.71
Sites, in units of the cell vectors:
V 0.8607 0.8607 0.6494
V 0.1393 0.1393 0.3506
V 0.5000 0.5000 0.5000
V 0.7545 0.7545 0.2701
V 0.0000 0.0000 0.0000
V 0.3956 0.3956 0.1308
V 0.6044 0.6044 0.8692
V 0.2455 0.2455 0.7299
O 0.0566 0.4555 0.2421
O 0.4706 0.4706 0.7213
O 0.9745 0.9745 0.2284
O 0.7304 0.7304 0.4822
O 0.2696 0.2696 0.5178
O 0.0255 0.0255 0.7716
O 0.5294 0.5294 0.2787
O 0.4555 0.0566 0.2421
O 0.9434 0.5445 0.7579
O 0.7031 0.2969 0.0000
O 0.5445 0.9434 0.7579
O 0.2969 0.7031 0.0000
F 0.1923 0.8077 0.5000
F 0.8077 0.1923 0.5000
F 0.2299 0.2299 0.9706
F 0.7701 0.7701 0.0294